i.
! GGA+U Mo3NO9, optimized geometry; values from VASP
! calculated volume: 15.3 A^3/atom
&SYSTEM
  ibrav = 0, nat = 26, ntyp = 3
/
ATOMIC_SPECIES
Mo 95.94 Mo.upf
N 14.01 N.upf
O 16.00 O.upf
ATOMIC_POSITIONS crystal
Mo 0.1093 0.4607 0.2500
Mo 0.3514 0.8907 0.2500
Mo 0.4607 0.3514 0.7500
Mo 0.5393 0.6486 0.2500
Mo 0.6486 0.1093 0.7500
Mo 0.8907 0.5393 0.7500
N 0.0000 0.0000 0.0000
N 0.0000 0.0000 0.5000
O 0.0153 0.2862 0.2500
O 0.0801 0.5060 0.7500
O 0.2181 0.7210 0.2500
O 0.2709 0.9847 0.2500
O 0.2790 0.4971 0.2500
O 0.2862 0.2709 0.7500
O 0.4259 0.9199 0.7500
O 0.4940 0.5741 0.7500
O 0.4971 0.2181 0.7500
O 0.5029 0.7819 0.2500
O 0.5060 0.4259 0.2500
O 0.5741 0.0801 0.2500
O 0.7138 0.7291 0.2500
O 0.7210 0.5029 0.7500
O 0.7291 0.0153 0.7500
O 0.7819 0.2790 0.7500
O 0.9199 0.4940 0.2500
O 0.9847 0.7138 0.7500
CELL_PARAMETERS angstrom
11.2793 0.0000 0.0000
-5.6396 9.7681 0.0000
0.0000 0.0000 3.6166


ii.
! GGA+U Mo3NO9, optimized geometry; values from VASP
! calculated volume: 15.1 A^3/atom
&SYSTEM
  ibrav = 0, nat = 26, ntyp = 3
/
ATOMIC_SPECIES
Mo 95.94 Mo.upf
N 14.01 N.upf
O 16.00 O.upf
ATOMIC_POSITIONS crystal
Mo 0.1092 0.4602 0.2500
Mo 0.3510 0.8908 0.2500
Mo 0.4602 0.3510 0.7500
Mo 0.5398 0.6490 0.2500
Mo 0.6490 0.1092 0.7500
Mo 0.8908 0.5398 0.7500
N 0.0000 0.0000 0.2500
N 0.0000 0.0000 0.7500
O 0.0162 0.2842 0.2500
O 0.0778 0.5027 0.7500
O 0.2177 0.7186 0.2500
O 0.2681 0.9838 0.2500
O 0.2814 0.4992 0.2500
O 0.2842 0.2681 0.7500
O 0.4249 0.9222 0.7500
O 0.4973 0.5751 0.7500
O 0.4992 0.2177 0.7500
O 0.5008 0.7823 0.2500
O 0.5027 0.4249 0.2500
O 0.5751 0.0778 0.2500
O 0.7158 0.7319 0.2500
O 0.7186 0.5008 0.7500
O 0.7319 0.0162 0.7500
O 0.7823 0.2814 0.7500
O 0.9222 0.4973 0.2500
O 0.9838 0.7158 0.7500
CELL_PARAMETERS angstrom
11.1671 0.0000 0.0000
-5.5835 9.6710 0.0000
0.0000 0.0000 3.6387


Quick one: most stable of them? ii


i.
! GGA+U ZnBiWO5, optimized geometry; values from VASP
! calculated volume: 15.3 A^3/atom
&SYSTEM
  ibrav = 0, nat = 64, ntyp = 4
/
ATOMIC_SPECIES
Zn 65.41 Zn.upf
Bi 208.98 Bi.upf
W 183.84 W.upf
O 16.00 O.upf
ATOMIC_POSITIONS crystal
Zn 0.0375 0.0395 0.1260
Zn 0.0375 0.4605 0.6260
Zn 0.4625 0.5395 0.1260
Zn 0.4625 0.9605 0.6260
Zn 0.5375 0.0395 0.3740
Zn 0.5375 0.4605 0.8740
Zn 0.9625 0.5395 0.3740
Zn 0.9625 0.9605 0.8740
Bi 0.0337 0.7085 0.1428
Bi 0.0337 0.7915 0.6428
Bi 0.4663 0.2085 0.1428
Bi 0.4663 0.2915 0.6428
Bi 0.5337 0.7085 0.3572
Bi 0.5337 0.7915 0.8572
Bi 0.9663 0.2085 0.3572
Bi 0.9663 0.2915 0.8572
W 0.0685 0.5932 0.8585
W 0.0685 0.9068 0.3585
W 0.4315 0.0932 0.8585
W 0.4315 0.4068 0.3585
W 0.5685 0.5932 0.6415
W 0.5685 0.9068 0.1415
W 0.9315 0.0932 0.6415
W 0.9315 0.4068 0.1415
O 0.1269 0.1332 0.5039
O 0.1274 0.1449 0.2022
O 0.1274 0.3551 0.7022
O 0.1269 0.3668 0.0039
O 0.1926 0.6931 0.8104
O 0.1926 0.8069 0.3104
O 0.2011 0.0360 0.9578
O 0.2011 0.4640 0.4578
O 0.2066 0.0325 0.7157
O 0.2066 0.4675 0.2157
O 0.2934 0.5325 0.7157
O 0.2934 0.9675 0.2157
O 0.2989 0.5360 0.9578
O 0.2989 0.9640 0.4578
O 0.3074 0.1931 0.8104
O 0.3074 0.3069 0.3104
O 0.3731 0.6332 0.5039
O 0.3726 0.6449 0.2022
O 0.3726 0.8551 0.7022
O 0.3731 0.8668 0.0039
O 0.6269 0.1332 0.9961
O 0.6274 0.1449 0.2978
O 0.6274 0.3551 0.7978
O 0.6269 0.3668 0.4961
O 0.6926 0.6931 0.6896
O 0.6926 0.8069 0.1896
O 0.7011 0.0360 0.5422
O 0.7011 0.4640 0.0422
O 0.7066 0.0325 0.7843
O 0.7066 0.4675 0.2843
O 0.7934 0.5325 0.7843
O 0.7934 0.9675 0.2843
O 0.7989 0.5360 0.5422
O 0.7989 0.9640 0.0422
O 0.8074 0.1931 0.6896
O 0.8074 0.3069 0.1896
O 0.8731 0.6332 0.9961
O 0.8726 0.6449 0.2978
O 0.8726 0.8551 0.7978
O 0.8731 0.8668 0.4961
CELL_PARAMETERS angstrom
5.4762 0.0000 0.0000
0.0000 16.4252 0.0000
0.0000 0.0000 10.8935


ii.
! GGA+U ZnBiWO5, optimized geometry; values from VASP
! calculated volume: 15.8 A^3/atom
&SYSTEM
  ibrav = 0, nat = 32, ntyp = 4
/
ATOMIC_SPECIES
Zn 65.41 Zn.upf
Bi 208.98 Bi.upf
W 183.84 W.upf
O 16.00 O.upf
ATOMIC_POSITIONS crystal
Zn 0.0627 0.0851 0.1655
Zn 0.0627 0.4149 0.6655
Zn 0.9373 0.5851 0.3345
Zn 0.9373 0.9149 0.8345
Bi 0.4388 0.1020 0.8415
Bi 0.4388 0.3980 0.3415
Bi 0.5612 0.6020 0.6585
Bi 0.5612 0.8980 0.1585
W 0.2980 0.6379 0.0296
W 0.2980 0.8621 0.5296
W 0.7020 0.1379 0.4704
W 0.7020 0.3621 0.9704
O 0.1542 0.5690 0.1696
O 0.1542 0.9310 0.6696
O 0.2061 0.7058 0.4855
O 0.2061 0.7942 0.9855
O 0.2603 0.0260 0.0167
O 0.2603 0.4740 0.5167
O 0.2947 0.5699 0.8314
O 0.2947 0.9301 0.3314
O 0.3487 0.1879 0.3296
O 0.3487 0.3121 0.8296
O 0.6513 0.6879 0.1704
O 0.6513 0.8121 0.6704
O 0.7053 0.0699 0.6686
O 0.7053 0.4301 0.1686
O 0.7397 0.5260 0.4833
O 0.7397 0.9740 0.9833
O 0.7939 0.2058 0.0145
O 0.7939 0.2942 0.5145
O 0.8458 0.0690 0.3304
O 0.8458 0.4310 0.8304
CELL_PARAMETERS angstrom
5.3806 0.0000 0.0000
0.0000 12.0156 0.0000
-3.3307 0.0000 7.8130


Quick one: most stable of them? i


i.
! GGA+U Rb2CoO3, optimized geometry; values from VASP
! calculated volume: 20.4 A^3/atom
&SYSTEM
  ibrav = 0, nat = 72, ntyp = 3
/
ATOMIC_SPECIES
Rb 85.47 Rb.upf
Co 58.93 Co.upf
O 16.00 O.upf
ATOMIC_POSITIONS crystal
Rb 0.0050 0.1122 0.4182
Rb 0.0050 0.3878 0.9182
Rb 0.1205 0.6975 0.3044
Rb 0.1205 0.8025 0.8044
Rb 0.1256 0.1207 0.8589
Rb 0.1256 0.3793 0.3589
Rb 0.2642 0.5869 0.5313
Rb 0.2642 0.9131 0.0313
Rb 0.3614 0.5074 0.7771
Rb 0.3614 0.9926 0.2771
Rb 0.4361 0.6542 0.9897
Rb 0.4361 0.8458 0.4897
Rb 0.5639 0.1542 0.5103
Rb 0.5639 0.3458 0.0103
Rb 0.6386 0.0074 0.7229
Rb 0.6386 0.4926 0.2229
Rb 0.7358 0.0869 0.9687
Rb 0.7358 0.4131 0.4687
Rb 0.8744 0.6207 0.6411
Rb 0.8744 0.8793 0.1411
Rb 0.8795 0.1975 0.1956
Rb 0.8795 0.3025 0.6956
Rb 0.9950 0.6122 0.0818
Rb 0.9950 0.8878 0.5818
Co 0.1590 0.1190 0.6323
Co 0.1590 0.3810 0.1323
Co 0.2714 0.1535 0.1028
Co 0.2714 0.3465 0.6028
Co 0.4703 0.2429 0.2923
Co 0.4703 0.2571 0.7923
Co 0.5297 0.7429 0.2077
Co 0.5297 0.7571 0.7077
Co 0.7286 0.6535 0.3972
Co 0.7286 0.8465 0.8972
Co 0.8410 0.6190 0.8677
Co 0.8410 0.8810 0.3677
O 0.0778 0.5899 0.8507
O 0.0778 0.9101 0.3507
O 0.0925 0.0611 0.1112
O 0.0925 0.4389 0.6112
O 0.1064 0.2411 0.5716
O 0.1064 0.2589 0.0716
O 0.2682 0.7254 0.6622
O 0.2682 0.7746 0.1622
O 0.2876 0.0468 0.5778
O 0.2876 0.4532 0.0778
O 0.2995 0.1903 0.3395
O 0.2995 0.3097 0.8395
O 0.3363 0.1452 0.7404
O 0.3363 0.3548 0.2404
O 0.4100 0.1365 0.0316
O 0.4100 0.3635 0.5316
O 0.4703 0.1597 0.2014
O 0.4703 0.3403 0.7014
O 0.5297 0.6597 0.2986
O 0.5297 0.8403 0.7986
O 0.5900 0.6365 0.4684
O 0.5900 0.8635 0.9684
O 0.6637 0.6452 0.7596
O 0.6637 0.8548 0.2596
O 0.7005 0.6903 0.1605
O 0.7005 0.8097 0.6605
O 0.7124 0.5468 0.9222
O 0.7124 0.9532 0.4222
O 0.7318 0.2254 0.8378
O 0.7318 0.2746 0.3378
O 0.8936 0.7411 0.9284
O 0.8936 0.7589 0.4284
O 0.9075 0.5611 0.3888
O 0.9075 0.9389 0.8888
O 0.9222 0.0899 0.6493
O 0.9222 0.4101 0.1493
CELL_PARAMETERS angstrom
6.6657 0.0000 0.0000
0.0000 13.6679 0.0000
-5.1570 0.0000 16.1313


ii.
! GGA+U Rb2CoO3, optimized geometry; values from VASP
! calculated volume: 17.5 A^3/atom
&SYSTEM
  ibrav = 0, nat = 12, ntyp = 3
/
ATOMIC_SPECIES
Rb 85.47 Rb.upf
Co 58.93 Co.upf
O 16.00 O.upf
ATOMIC_POSITIONS crystal
Rb 0.1519 0.4757 0.5007
Rb 0.1600 0.8400 0.0000
Rb 0.4757 0.1519 0.5007
Rb 0.8400 0.1600 0.0000
Co 0.5781 0.5781 0.0065
Co 0.7326 0.7326 0.5066
O 0.3380 0.3380 0.0141
O 0.5388 0.7773 0.7516
O 0.5451 0.7833 0.2580
O 0.7773 0.5388 0.7516
O 0.7833 0.5451 0.2580
O 0.9758 0.9758 0.5148
CELL_PARAMETERS angstrom
3.7012 -5.2239 0.0000
3.7012 5.2239 0.0000
-0.0009 0.0000 5.4319


Quick one: most stable of them? ii